No. 1
Entry from the Materials Project database: an optimized crystal structure of PmAg3 (r2SCAN).

Cell: 6.455 6.455 4.809 Å, 90.00 90.00 120.00°
Sites, in units of the cell vectors:
Pm 0.667 0.333 0.250
Pm 0.333 0.667 0.750
Ag 0.850 0.150 0.750
Ag 0.300 0.150 0.750
Ag 0.850 0.700 0.750
Ag 0.150 0.850 0.250
Ag 0.700 0.850 0.250
Ag 0.150 0.300 0.250

**E_tot**: -23.6062 eV per atom
**Calculated density**: 8.97 Mg/m³
**Total magnetic moment**: 0.000 μB/f.u.
**Energy of formation**: -0.82 eV per formula unit

---

No. 2
Entry from the Materials Project database: an optimized crystal structure of PmAg3 (r2SCAN).

Cell: 4.939 4.939 4.939 Å, 60.06 60.06 60.06°
Sites, in units of the cell vectors:
Pm 0.750 0.750 0.750
Ag 0.000 0.000 0.000
Ag 0.500 0.500 0.500
Ag 0.250 0.250 0.250

**E_tot**: -23.5984 eV per atom
**Calculated density**: 9.12 Mg/m³
**Total magnetic moment**: 0.000 μB/f.u.
**Energy of formation**: -0.79 eV per formula unit

---

No. 3
Entry from the Materials Project database: an optimized crystal structure of PmAg2Sn (r2SCAN).

Cell: 5.000 5.000 5.000 Å, 60.00 60.00 60.00°
Sites, in units of the cell vectors:
Pm 0.250 0.250 0.250
Ag 0.500 0.500 0.500
Ag 0.000 0.000 0.000
Sn 0.750 0.750 0.750

**E_tot**: -24.6553 eV per atom
**Calculated density**: 9.01 Mg/m³
**Total magnetic moment**: 0.000 μB/f.u.
**Energy of formation**: -1.62 eV per formula unit

---

No. 4
Entry from the Materials Project database: an optimized crystal structure of PmZn2Ag (r2SCAN).

Cell: 4.774 4.774 4.774 Å, 60.00 60.00 60.01°
Sites, in units of the cell vectors:
Pm 0.750 0.750 0.750
Zn 0.000 0.000 0.000
Zn 0.500 0.500 0.500
Ag 0.250 0.250 0.250

**E_tot**: -17.4753 eV per atom
**Calculated density**: 8.28 Mg/m³
**Total magnetic moment**: 0.000 μB/f.u.
**Energy of formation**: -1.18 eV per formula unit